# Li9Mn2Co5O16

An optimized crystal structure of Li9Mn2Co5O16 (PBE with a Hubbard U, the Materials Project).

The structure in extended XYZ format:
```
32
Lattice="2.9091 0.0000 0.0000 -0.1249 5.0908 0.0000 -0.3178 -1.4728 19.4156" Properties=species:S:1:pos:R:3 pbc="T T T"
Li 0.0000 0.0000 0.0000
Li -0.2211 1.7089 10.0521
Li -0.2576 0.2754 14.5062
Li -0.1543 3.4351 4.8594
Li 1.1484 4.3311 9.8893
Li 1.4049 2.5119 0.0362
Li 1.2253 0.9875 12.2155
Li 1.3751 0.9415 4.8532
Li 1.1698 2.7502 14.5728
Mn -0.1280 0.0837 7.3384
Mn -0.2903 3.5404 12.2014
Co -0.3400 1.9019 17.0410
Co -0.0654 1.7230 2.4895
Co 1.2690 2.6253 7.3565
Co 1.3171 4.2718 2.4730
Co 1.1732 -0.6401 17.0324
O -0.2354 3.5798 8.4082
O -0.1828 -0.0028 11.0563
O -0.2741 2.0065 13.3344
O -0.1349 1.6908 6.2319
O -0.0332 0.0959 3.5869
O -0.3103 3.6512 15.9453
O 1.2405 2.6257 3.6304
O 1.0244 2.7085 18.1898
O 1.2170 4.4154 6.2486
O 1.1800 2.7481 11.1114
O 1.3168 0.8364 8.4020
O 1.2812 -0.7760 13.2589
O 1.2105 1.0983 15.9267
O 1.5317 0.8376 1.3840
O 2.5503 0.1688 18.1803
O 2.7915 3.3412 1.4105
```

ΔE to the lowest computed polymorph, eV/atom: 0.0486
Density, g/cm³: 4.18
Energy relative to the elements, eV/atom: -1.82
Space-group type: P1, No. 1



# Zn2SnWO6

An optimized crystal structure of Zn2SnWO6 (PBE with a Hubbard U, the Materials Project).

The structure in extended XYZ format:
```
20
Lattice="5.5368 0.0000 0.0000 0.0000 5.4983 0.0000 -5.0507 0.0000 8.3570" Properties=species:S:1:pos:R:3 pbc="T T T"
Zn -0.0774 0.0915 2.0069
Zn -2.6028 2.6577 6.1854
Zn 3.0889 2.8406 2.1716
Zn 0.5636 5.4068 6.3501
Sn -2.5253 0.0000 4.1785
Sn 0.0000 2.7492 0.0000
W 2.7684 0.0000 0.0000
W 0.2431 2.7492 4.1785
O -3.0666 0.7219 6.6010
O -0.5412 2.0273 2.4224
O -1.4887 3.4407 4.7016
O 1.0366 4.8068 0.5231
O -1.8000 3.8243 7.5487
O 0.7253 4.4232 3.3702
O -0.2392 1.0751 4.9869
O 2.2862 1.6741 0.8084
O -0.5505 0.6915 7.8339
O 1.9749 2.0576 3.6554
O 1.0274 3.4710 5.9346
O 3.5527 4.7765 1.7561
```

ΔE to the lowest computed polymorph, eV/atom: 0.0000
Density, g/cm³: 6.91
Energy relative to the elements, eV/atom: -1.80
Space-group type: P2_1/c, No. 14



# Li9Mn2Co5O16

An optimized crystal structure of Li9Mn2Co5O16 (PBE with a Hubbard U, the Materials Project).

The structure in extended XYZ format:
```
32
Lattice="2.9204 0.0000 0.0000 -1.3662 4.9372 0.0000 -1.2341 -1.5350 20.1265" Properties=species:S:1:pos:R:3 pbc="T T T"
Li 0.0000 0.0000 0.0000
Li -1.1974 0.3331 16.4992
Li -1.2717 3.9774 8.8483
Li 0.0390 2.7781 1.1114
Li 0.1471 -0.1571 13.7643
Li 0.1730 3.5594 6.3622
Li 0.2811 0.6241 19.0151
Li 1.5919 -0.5751 11.2782
Li 1.5175 3.0691 3.6273
Mn 0.0497 0.8329 5.0519
Mn 0.2704 2.5693 15.0746
Co -1.2709 2.1343 12.5368
Co -1.1698 2.9139 17.8233
Co 0.1601 1.7011 10.0633
Co 1.4899 0.4884 2.3032
Co 1.5910 1.2679 7.5898
O -1.2588 -0.7486 18.1294
O -1.1976 1.3822 14.4379
O -1.2850 2.9609 10.7292
O 0.0172 0.0468 6.8696
O 0.0428 1.6311 3.3300
O -1.1652 2.0430 19.3696
O -1.1859 3.7325 15.5891
O 0.0669 0.8812 11.8898
O 0.2532 2.5210 8.2367
O 1.5061 -0.3302 4.5374
O 1.4854 1.3593 0.7569
O 0.2774 1.7711 16.7965
O 0.3030 3.3554 13.2569
O 1.6052 0.4414 9.3973
O 1.5178 2.0200 5.6887
O 1.5789 4.1508 1.9971
```

ΔE to the lowest computed polymorph, eV/atom: 0.0560
Density, g/cm³: 4.14
Energy relative to the elements, eV/atom: -1.81
Space-group type: P-1, No. 2



Among the records above, which one has the highest ΔE to the lowest computed polymorph? number 3



Which of these has the lowest density? number 3